A geometry-optimized MgH12SeO10 structure. Source: Materials Project, functional GGA-PBE.

a = 6.3618 Å, b = 6.3618 Å, c = 25.1516 Å
α = 97.10°, β = 97.10°, γ = 71.44°
Closest atoms and distances in Å follow each position.
Fractional positions:
Mg: 0.0000 0.0000 0.0000  6 O 2.06-2.10
Mg: 0.0000 0.0000 0.5000  6 O 2.06-2.10
Mg: 0.0554 0.9446 0.7500  6 O 2.06-2.12
Mg: 0.9446 0.0554 0.2500  6 O 2.06-2.12
H: 0.0040 0.6653 0.6616  1 O 0.99
H: 0.0406 0.6633 0.4205  1 O 0.99
H: 0.0569 0.2742 0.6926  1 O 0.99
H: 0.0676 0.5197 0.7708  1 O 0.98
H: 0.0739 0.3281 0.9494  1 O 0.99
H: 0.0804 0.6725 0.9149  1 O 0.99
H: 0.1085 0.1994 0.8439  1 O 0.98
H: 0.1918 0.6792 0.2962  1 O 1.00
H: 0.1994 0.1085 0.3439  1 O 0.98
H: 0.2468 0.2913 0.0019  1 O 0.98
H: 0.2742 0.0569 0.1926  1 O 0.99
H: 0.2842 0.6918 0.5618  1 O 0.99
H: 0.2851 0.5696 0.8003  1 O 0.99
H: 0.2872 0.6539 0.4467  1 O 0.99
H: 0.2913 0.2468 0.5019  1 O 0.98
H: 0.3082 0.7158 0.9382  1 O 0.99
H: 0.3208 0.8082 0.2038  1 O 1.00
H: 0.3281 0.0739 0.4494  1 O 0.99
H: 0.3275 0.9196 0.5851  1 O 0.99
H: 0.3347 0.9960 0.8384  1 O 0.99
H: 0.3367 0.9594 0.0795  1 O 0.99
H: 0.3461 0.7128 0.0533  1 O 0.99
H: 0.4304 0.7149 0.6997  1 O 0.99
H: 0.4803 0.9324 0.7292  1 O 0.98
H: 0.5197 0.0676 0.2708  1 O 0.98
H: 0.5696 0.2851 0.3003  1 O 0.99
H: 0.6539 0.2872 0.9467  1 O 0.99
H: 0.6633 0.0406 0.9205  1 O 0.99
H: 0.6653 0.0040 0.1616  1 O 0.99
H: 0.6725 0.0804 0.4149  1 O 0.99
H: 0.6719 0.9261 0.5506  1 O 0.99
H: 0.6792 0.1918 0.7962  1 O 1.00
H: 0.6918 0.2842 0.0618  1 O 0.99
H: 0.7087 0.7532 0.4981  1 O 0.98
H: 0.7128 0.3461 0.5533  1 O 0.99
H: 0.7149 0.4304 0.1997  1 O 0.99
H: 0.7158 0.3082 0.4382  1 O 0.99
H: 0.7258 0.9431 0.8074  1 O 0.99
H: 0.7532 0.7087 0.9981  1 O 0.98
H: 0.8005 0.8915 0.6561  1 O 0.98
H: 0.8082 0.3208 0.7038  1 O 1.00
H: 0.8915 0.8005 0.1561  1 O 0.98
H: 0.9196 0.3275 0.0851  1 O 0.99
H: 0.9261 0.6719 0.0506  1 O 0.99
H: 0.9324 0.4803 0.2292  1 O 0.98
H: 0.9431 0.7258 0.3074  1 O 0.99
H: 0.9594 0.3367 0.5795  1 O 0.99
H: 0.9960 0.3347 0.3384  1 O 0.99
Se: 0.3173 0.4172 0.1233  4 O 1.67-1.69
Se: 0.4172 0.3173 0.6233  4 O 1.67-1.69
Se: 0.5828 0.6827 0.3767  4 O 1.67-1.69
Se: 0.6827 0.5828 0.8767  4 O 1.67-1.69
O: 0.0356 0.7382 0.2798  2 H 0.99-1.00
O: 0.0400 0.5380 0.1182  1 Se 1.68, 2 H 1.81-1.85
O: 0.0778 0.1926 0.3192  2 H 0.98-0.99
O: 0.1271 0.7082 0.4527  2 H 0.99
O: 0.1379 0.6365 0.7805  2 H 0.98-0.99
O: 0.1440 0.2282 0.9779  2 H 0.98-0.99
O: 0.1440 0.7805 0.9371  2 H 0.99
O: 0.1502 0.3787 0.6369  1 Se 1.69, 3 H 1.82-1.86
O: 0.1926 0.0778 0.8192  2 H 0.98-0.99
O: 0.2195 0.8560 0.5629  2 H 0.99
O: 0.2282 0.1440 0.4779  2 H 0.98-0.99
O: 0.2618 0.9644 0.2202  2 H 0.99-1.00
O: 0.2918 0.8729 0.0473  2 H 0.99
O: 0.3635 0.8621 0.7195  2 H 0.98-0.99
O: 0.3787 0.1502 0.1369  1 Se 1.69, 3 H 1.82-1.86
O: 0.4063 0.4220 0.0630  1 Se 1.69, 2 H 1.75-1.81
O: 0.4220 0.4063 0.5630  1 Se 1.69, 2 H 1.75-1.81
O: 0.4415 0.5522 0.1718  1 Se 1.67, 2 H 1.71-1.76
O: 0.4478 0.5585 0.3282  1 Se 1.67, 2 H 1.71-1.76
O: 0.4620 0.9600 0.3818  1 Se 1.68, 2 H 1.81-1.85
O: 0.5380 0.0400 0.6182  1 Se 1.68, 2 H 1.81-1.85
O: 0.5522 0.4415 0.6718  1 Se 1.67, 2 H 1.71-1.76
O: 0.5585 0.4478 0.8282  1 Se 1.67, 2 H 1.71-1.76
O: 0.5780 0.5937 0.4370  1 Se 1.69, 2 H 1.75-1.81
O: 0.5937 0.5780 0.9370  1 Se 1.69, 2 H 1.75-1.81
O: 0.6213 0.8498 0.8631  1 Se 1.69, 3 H 1.82-1.86
O: 0.6365 0.1379 0.2805  2 H 0.98-0.99
O: 0.7082 0.1271 0.9527  2 H 0.99
O: 0.7382 0.0356 0.7798  2 H 0.99-1.00
O: 0.7718 0.8560 0.5221  2 H 0.98-0.99
O: 0.7805 0.1440 0.4371  2 H 0.99
O: 0.8074 0.9222 0.1808  2 H 0.98-0.99
O: 0.8498 0.6213 0.3631  1 Se 1.69, 3 H 1.82-1.86
O: 0.8560 0.2195 0.0629  2 H 0.99
O: 0.8560 0.7718 0.0221  2 H 0.98-0.99
O: 0.8621 0.3635 0.2195  2 H 0.98-0.99
O: 0.8729 0.2918 0.5473  2 H 0.99
O: 0.9222 0.8074 0.6808  2 H 0.98-0.99
O: 0.9600 0.4620 0.8818  1 Se 1.68, 2 H 1.81-1.85
O: 0.9644 0.2618 0.7202  2 H 0.99-1.00

Calculated values
Total magnetization, μB per atom: 0.00


A geometry-optimized Nd3NCl6 structure. Source: Materials Project, functional GGA-PBE.

a = 10.5795 Å, b = 11.3603 Å, c = 16.5125 Å
α = 90.00°, β = 90.00°, γ = 90.00°
Closest atoms and distances in Å follow each position.
Fractional positions:
Nd: 0.0122 0.2126 0.0481  1 N 2.26
Nd: 0.0122 0.2874 0.5481  1 N 2.26
Nd: 0.1402 0.0207 0.4388  2 N 2.38
Nd: 0.1402 0.4793 0.9388  2 N 2.38
Nd: 0.1556 0.0376 0.6769  1 N 2.32
Nd: 0.1556 0.4624 0.1769  1 N 2.32
Nd: 0.3444 0.5376 0.6769  1 N 2.32
Nd: 0.3444 0.9624 0.1769  1 N 2.32
Nd: 0.3598 0.5207 0.4388  2 N 2.38
Nd: 0.3598 0.9793 0.9388  2 N 2.38
Nd: 0.4878 0.7126 0.0481  1 N 2.26
Nd: 0.4878 0.7874 0.5481  1 N 2.26
Nd: 0.5122 0.2126 0.4519  1 N 2.26
Nd: 0.5122 0.2874 0.9519  1 N 2.26
Nd: 0.6402 0.0207 0.0612  2 N 2.38
Nd: 0.6402 0.4793 0.5612  2 N 2.38
Nd: 0.6556 0.0376 0.8231  1 N 2.32
Nd: 0.6556 0.4624 0.3231  1 N 2.32
Nd: 0.8444 0.5376 0.8231  1 N 2.32
Nd: 0.8444 0.9624 0.3231  1 N 2.32
Nd: 0.8598 0.5207 0.0612  2 N 2.38
Nd: 0.8598 0.9793 0.5612  2 N 2.38
Nd: 0.9878 0.7126 0.4519  1 N 2.26
Nd: 0.9878 0.7874 0.9519  1 N 2.26
N: 0.0485 0.0926 0.5605  4 Nd 2.26-2.38
N: 0.0485 0.4074 0.0605  4 Nd 2.26-2.38
N: 0.4515 0.5926 0.5605  4 Nd 2.26-2.38
N: 0.4515 0.9074 0.0605  4 Nd 2.26-2.38
N: 0.5485 0.0926 0.9395  4 Nd 2.26-2.38
N: 0.5485 0.4074 0.4395  4 Nd 2.26-2.38
N: 0.9515 0.5926 0.9395  4 Nd 2.26-2.38
N: 0.9515 0.9074 0.4395  4 Nd 2.26-2.38
Cl: 0.0286 0.6839 0.1251  2 Nd 2.78-2.98
Cl: 0.0286 0.8161 0.6251  2 Nd 2.78-2.98
Cl: 0.1040 0.5766 0.7723  3 Nd 2.91-3.02, 1 N 3.20
Cl: 0.1040 0.9234 0.2723  3 Nd 2.91-3.02, 1 N 3.20
Cl: 0.1312 0.5663 0.3398  3 Nd 2.91-2.96
Cl: 0.1312 0.9337 0.8398  3 Nd 2.91-2.96
Cl: 0.1440 0.5292 0.5543  4 Nd 2.93-3.15
Cl: 0.1440 0.9708 0.0543  4 Nd 2.93-3.15
Cl: 0.1660 0.2164 0.1856  2 Nd 2.79-2.80
Cl: 0.1660 0.2836 0.6856  2 Nd 2.79-2.80
Cl: 0.2485 0.2144 0.9557  4 Nd 2.91-3.23
Cl: 0.2485 0.2856 0.4557  4 Nd 2.91-3.23
Cl: 0.2515 0.7144 0.9557  4 Nd 2.91-3.23
Cl: 0.2515 0.7856 0.4557  4 Nd 2.91-3.23
Cl: 0.3340 0.7164 0.1856  2 Nd 2.79-2.80
Cl: 0.3340 0.7836 0.6856  2 Nd 2.79-2.80
Cl: 0.3560 0.0292 0.5543  4 Nd 2.93-3.15
Cl: 0.3560 0.4708 0.0543  4 Nd 2.93-3.15
Cl: 0.3688 0.0663 0.3398  3 Nd 2.91-2.96
Cl: 0.3688 0.4337 0.8398  3 Nd 2.91-2.96
Cl: 0.3960 0.0766 0.7723  3 Nd 2.91-3.02, 1 N 3.20
Cl: 0.3960 0.4234 0.2723  3 Nd 2.91-3.02, 1 N 3.20
Cl: 0.4714 0.1839 0.1251  2 Nd 2.78-2.98
Cl: 0.4714 0.3161 0.6251  2 Nd 2.78-2.98
Cl: 0.5286 0.6839 0.3749  2 Nd 2.78-2.98
Cl: 0.5286 0.8161 0.8749  2 Nd 2.78-2.98
Cl: 0.6040 0.5766 0.7277  3 Nd 2.91-3.02, 1 N 3.20
Cl: 0.6040 0.9234 0.2277  3 Nd 2.91-3.02, 1 N 3.20
Cl: 0.6312 0.5663 0.1601  3 Nd 2.91-2.96
Cl: 0.6312 0.9337 0.6602  3 Nd 2.91-2.96
Cl: 0.6440 0.5292 0.9457  4 Nd 2.93-3.15
Cl: 0.6440 0.9708 0.4457  4 Nd 2.93-3.15
Cl: 0.6660 0.2164 0.3144  2 Nd 2.79-2.80
Cl: 0.6660 0.2836 0.8144  2 Nd 2.79-2.80
Cl: 0.7485 0.2144 0.5443  4 Nd 2.91-3.23
Cl: 0.7485 0.2856 0.0443  4 Nd 2.91-3.23
Cl: 0.7515 0.7144 0.5443  4 Nd 2.91-3.23
Cl: 0.7515 0.7856 0.0443  4 Nd 2.91-3.23
Cl: 0.8340 0.7164 0.3144  2 Nd 2.79-2.80
Cl: 0.8340 0.7836 0.8144  2 Nd 2.79-2.80
Cl: 0.8560 0.0292 0.9457  4 Nd 2.93-3.15
Cl: 0.8560 0.4708 0.4457  4 Nd 2.93-3.15
Cl: 0.8688 0.0663 0.1601  3 Nd 2.91-2.96
Cl: 0.8688 0.4337 0.6602  3 Nd 2.91-2.96
Cl: 0.8960 0.0766 0.7277  3 Nd 2.91-3.02, 1 N 3.20
Cl: 0.8960 0.4234 0.2277  3 Nd 2.91-3.02, 1 N 3.20
Cl: 0.9714 0.1839 0.3749  2 Nd 2.78-2.98
Cl: 0.9714 0.3161 0.8749  2 Nd 2.78-2.98

Calculated values
Total magnetization, μB per atom: 0.00


Electronic total energy: -0.3759 -0.4067 (Ry per atom)